Record 1
The following is a DFT calculation (PBE) of an optimized crystal structure of NaTa7O19.

a b c (Å): 15.518 24.017 3.915
angles (deg): 90.00 90.00 90.00
Fractional coordinates of all 108 atoms:
1 Na 0.216 0.144 0.000
2 Na 0.284 0.644 0.000
3 Na 0.716 0.356 0.000
4 Na 0.784 0.856 0.000
5 Ta 0.013 0.123 0.500
6 Ta 0.110 0.423 0.500
7 Ta 0.110 0.732 0.500
8 Ta 0.128 0.580 0.500
9 Ta 0.135 0.260 0.500
10 Ta 0.162 0.997 0.500
11 Ta 0.200 0.857 0.500
12 Ta 0.300 0.357 0.500
13 Ta 0.338 0.497 0.500
14 Ta 0.365 0.760 0.500
15 Ta 0.372 0.080 0.500
16 Ta 0.390 0.232 0.500
17 Ta 0.390 0.923 0.500
18 Ta 0.487 0.623 0.500
19 Ta 0.513 0.377 0.500
20 Ta 0.610 0.077 0.500
21 Ta 0.610 0.768 0.500
22 Ta 0.628 0.920 0.500
23 Ta 0.635 0.240 0.500
24 Ta 0.662 0.503 0.500
25 Ta 0.700 0.643 0.500
26 Ta 0.800 0.143 0.500
27 Ta 0.838 0.003 0.500
28 Ta 0.865 0.740 0.500
29 Ta 0.872 0.420 0.500
30 Ta 0.890 0.268 0.500
31 Ta 0.890 0.577 0.500
32 Ta 0.987 0.877 0.500
33 O 0.008 0.601 0.500
34 O 0.017 0.279 0.500
35 O 0.024 0.124 0.000
36 O 0.069 0.051 0.500
37 O 0.081 0.817 0.500
38 O 0.096 0.502 0.500
39 O 0.101 0.918 0.500
40 O 0.107 0.731 0.000
41 O 0.113 0.178 0.500
42 O 0.113 0.421 0.000
43 O 0.139 0.584 0.000
44 O 0.151 0.254 0.000
45 O 0.157 0.993 0.000
46 O 0.165 0.344 0.500
47 O 0.168 0.661 0.500
48 O 0.200 0.856 0.000
49 O 0.226 0.771 0.500
50 O 0.243 0.436 0.500
51 O 0.247 0.055 0.500
52 O 0.253 0.555 0.500
53 O 0.257 0.936 0.500
54 O 0.274 0.271 0.500
55 O 0.300 0.356 0.000
56 O 0.332 0.161 0.500
57 O 0.335 0.844 0.500
58 O 0.343 0.493 0.000
59 O 0.349 0.754 0.000
60 O 0.361 0.084 0.000
61 O 0.387 0.678 0.500
62 O 0.387 0.921 0.000
63 O 0.393 0.231 0.000
64 O 0.399 0.418 0.500
65 O 0.404 0.002 0.500
66 O 0.419 0.317 0.500
67 O 0.431 0.551 0.500
68 O 0.476 0.624 0.000
69 O 0.483 0.779 0.500
70 O 0.492 0.101 0.500
71 O 0.508 0.899 0.500
72 O 0.517 0.221 0.500
73 O 0.524 0.376 0.000
74 O 0.569 0.449 0.500
75 O 0.581 0.683 0.500
76 O 0.596 0.998 0.500
77 O 0.601 0.582 0.500
78 O 0.607 0.769 0.000
79 O 0.613 0.079 0.000
80 O 0.613 0.322 0.500
81 O 0.639 0.916 0.000
82 O 0.651 0.246 0.000
83 O 0.657 0.507 0.000
84 O 0.665 0.156 0.500
85 O 0.668 0.839 0.500
86 O 0.700 0.644 0.000
87 O 0.726 0.729 0.500
88 O 0.743 0.064 0.500
89 O 0.747 0.445 0.500
90 O 0.753 0.945 0.500
91 O 0.757 0.564 0.500
92 O 0.774 0.229 0.500
93 O 0.800 0.144 0.000
94 O 0.832 0.339 0.500
95 O 0.835 0.656 0.500
96 O 0.843 0.007 0.000
97 O 0.849 0.746 0.000
98 O 0.861 0.416 0.000
99 O 0.887 0.579 0.000
100 O 0.887 0.822 0.500
101 O 0.893 0.269 0.000
102 O 0.899 0.082 0.500
103 O 0.904 0.498 0.500
104 O 0.919 0.183 0.500
105 O 0.931 0.949 0.500
106 O 0.976 0.876 0.000
107 O 0.983 0.721 0.500
108 O 0.992 0.399 0.500

Electronic total energy = -1000.630 eV/cell
Calculated formation energy = -3143 meV/atom


Record 2
The following is a DFT calculation (PBE) of an optimized crystal structure of Na5TbO6.

a b c (Å): 5.982 5.982 11.191
angles (deg): 95.20 95.20 119.73
Fractional coordinates of all 24 atoms:
1 Na 0.000 0.500 0.500
2 Na 0.084 0.916 0.750
3 Na 0.143 0.321 0.999
4 Na 0.248 0.752 0.250
5 Na 0.321 0.143 0.499
6 Na 0.500 0.000 0.000
7 Na 0.679 0.857 0.501
8 Na 0.752 0.248 0.750
9 Na 0.857 0.679 0.001
10 Na 0.916 0.084 0.250
11 Tb 0.416 0.584 0.750
12 Tb 0.584 0.416 0.250
13 O 0.071 0.234 0.632
14 O 0.147 0.622 0.869
15 O 0.234 0.071 0.132
16 O 0.314 0.457 0.367
17 O 0.378 0.853 0.631
18 O 0.457 0.314 0.867
19 O 0.543 0.686 0.133
20 O 0.622 0.147 0.369
21 O 0.686 0.543 0.633
22 O 0.766 0.929 0.868
23 O 0.853 0.378 0.131
24 O 0.929 0.766 0.368

Electronic total energy = -115.403 eV/cell
Calculated formation energy = -1741 meV/atom


Record 3
The following is a DFT calculation (PBE) of an optimized crystal structure of Na2TbO3.

a b c (Å): 7.223 7.226 25.069
angles (deg): 82.42 82.93 71.18
Fractional coordinates of all 96 atoms:
1 Na 0.000 0.000 0.000
2 Na 0.000 0.000 0.500
3 Na 0.056 0.317 0.394
4 Na 0.058 0.691 0.433
5 Na 0.081 0.034 0.815
6 Na 0.116 0.253 0.881
7 Na 0.160 0.757 0.747
8 Na 0.160 0.762 0.254
9 Na 0.174 0.009 0.631
10 Na 0.174 0.073 0.313
11 Na 0.235 0.340 0.500
12 Na 0.256 0.003 0.129
13 Na 0.339 0.256 0.005
14 Na 0.358 0.704 0.367
15 Na 0.388 0.995 0.939
16 Na 0.403 0.774 0.865
17 Na 0.494 0.007 0.762
18 Na 0.506 0.993 0.238
19 Na 0.597 0.226 0.135
20 Na 0.612 0.005 0.061
21 Na 0.642 0.296 0.633
22 Na 0.661 0.744 0.995
23 Na 0.744 0.997 0.871
24 Na 0.765 0.660 0.500
25 Na 0.826 0.927 0.687
26 Na 0.826 0.991 0.369
27 Na 0.840 0.238 0.746
28 Na 0.840 0.243 0.253
29 Na 0.884 0.747 0.119
30 Na 0.919 0.966 0.185
31 Na 0.942 0.309 0.567
32 Na 0.944 0.683 0.606
33 Tb 0.056 0.641 0.934
34 Tb 0.162 0.387 0.190
35 Tb 0.231 0.354 0.688
36 Tb 0.292 0.643 0.065
37 Tb 0.361 0.642 0.558
38 Tb 0.434 0.963 0.434
39 Tb 0.435 0.393 0.812
40 Tb 0.451 0.337 0.317
41 Tb 0.549 0.663 0.683
42 Tb 0.565 0.607 0.188
43 Tb 0.566 0.037 0.566
44 Tb 0.639 0.358 0.442
45 Tb 0.708 0.357 0.935
46 Tb 0.769 0.646 0.312
47 Tb 0.838 0.613 0.810
48 Tb 0.944 0.359 0.066
49 O 0.005 0.666 0.028
50 O 0.078 0.940 0.907
51 O 0.080 0.656 0.522
52 O 0.108 0.596 0.338
53 O 0.113 0.431 0.304
54 O 0.130 0.395 0.781
55 O 0.138 0.975 0.401
56 O 0.146 0.620 0.840
57 O 0.162 0.088 0.224
58 O 0.181 0.062 0.722
59 O 0.239 0.336 0.099
60 O 0.241 0.678 0.154
61 O 0.263 0.667 0.653
62 O 0.303 0.315 0.597
63 O 0.316 0.979 0.528
64 O 0.333 0.926 0.030
65 O 0.373 0.304 0.410
66 O 0.377 0.426 0.920
67 O 0.391 0.578 0.955
68 O 0.403 0.645 0.463
69 O 0.423 0.099 0.849
70 O 0.471 0.326 0.222
71 O 0.489 0.648 0.277
72 O 0.496 0.007 0.333
73 O 0.504 0.993 0.667
74 O 0.511 0.352 0.723
75 O 0.529 0.674 0.778
76 O 0.577 0.901 0.151
77 O 0.597 0.355 0.537
78 O 0.609 0.422 0.045
79 O 0.623 0.574 0.080
80 O 0.627 0.696 0.590
81 O 0.667 0.074 0.970
82 O 0.684 0.021 0.472
83 O 0.697 0.685 0.403
84 O 0.737 0.333 0.347
85 O 0.759 0.322 0.846
86 O 0.761 0.664 0.901
87 O 0.819 0.938 0.278
88 O 0.838 0.912 0.776
89 O 0.854 0.380 0.160
90 O 0.862 0.025 0.599
91 O 0.870 0.605 0.219
92 O 0.887 0.569 0.696
93 O 0.892 0.404 0.662
94 O 0.920 0.344 0.478
95 O 0.922 0.060 0.093
96 O 0.995 0.334 0.972

Electronic total energy = -546.534 eV/cell
Calculated formation energy = -2238 meV/atom


Record 4
The following is a DFT calculation (PBE) of an optimized crystal structure of NaTbO2.

a b c (Å): 6.198 6.198 6.198
angles (deg): 136.00 136.00 63.98
Fractional coordinates of all 8 atoms:
1 Na 0.375 0.625 0.750
2 Na 0.625 0.375 0.250
3 Tb 0.125 0.875 0.250
4 Tb 0.875 0.125 0.750
5 O 0.095 0.345 0.750
6 O 0.345 0.095 0.250
7 O 0.655 0.905 0.750
8 O 0.905 0.655 0.250

Electronic total energy = -54.019 eV/cell
Calculated formation energy = -3133 meV/atom


- The lowest electronic total energy belongs to which entry?
  NaTa7O19


What did the second record say?
The following is a DFT calculation (PBE) of an optimized crystal structure of Na5TbO6.

a b c (Å): 5.982 5.982 11.191
angles (deg): 95.20 95.20 119.73
Fractional coordinates of all 24 atoms:
1 Na 0.000 0.500 0.500
2 Na 0.084 0.916 0.750
3 Na 0.143 0.321 0.999
4 Na 0.248 0.752 0.250
5 Na 0.321 0.143 0.499
6 Na 0.500 0.000 0.000
7 Na 0.679 0.857 0.501
8 Na 0.752 0.248 0.750
9 Na 0.857 0.679 0.001
10 Na 0.916 0.084 0.250
11 Tb 0.416 0.584 0.750
12 Tb 0.584 0.416 0.250
13 O 0.071 0.234 0.632
14 O 0.147 0.622 0.869
15 O 0.234 0.071 0.132
16 O 0.314 0.457 0.367
17 O 0.378 0.853 0.631
18 O 0.457 0.314 0.867
19 O 0.543 0.686 0.133
20 O 0.622 0.147 0.369
21 O 0.686 0.543 0.633
22 O 0.766 0.929 0.868
23 O 0.853 0.378 0.131
24 O 0.929 0.766 0.368

Electronic total energy = -115.403 eV/cell
Calculated formation energy = -1741 meV/atom


- Look up the electronic total energy of the first one.
  -1000.630 eV/cell


- Which value of electronic total energy does entry 3 give?
  -546.534 eV/cell